# 1
KLiMg6 after structural relaxation, computed with PBE.

The calculation puts the calculated volume at 26.18 Å³/atom. As for the relative energy among the computed polymorphs: 0 meV/atom. For the formation energy, the calculation gives 1.26 eV/f.u.

Structure (extended XYZ):
```
16
Lattice="5.3279 0.0000 0.0000 0.0000 6.7590 0.0000 0.0000 0.0000 11.6335" Properties=species:S:1:pos:R:3 pbc="T T T"
Mg 0.0000 0.0000 3.9048
Mg 0.0000 5.0788 6.7530
Mg 2.6639 4.9483 10.7671
Mg 0.0000 1.6993 0.9363
Mg 2.6639 1.8106 10.7671
Mg 0.0000 1.6802 6.7530
Mg 0.0000 3.3795 9.7216
Mg 2.6639 3.3795 7.7708
Mg 2.6639 0.0000 1.9540
Mg 2.6639 1.5688 4.9503
Mg 2.6639 5.1901 4.9503
Mg 0.0000 5.0597 0.9363
Li 2.6639 3.3795 1.8200
Li 2.6639 0.0000 7.6368
K 0.0000 3.3795 3.8150
K 0.0000 0.0000 9.6318
```


# 2
Rb2PSO8 after structural relaxation, computed with PBE.

The calculation puts the calculated volume at 19.09 Å³/atom. As for the space group: P-1. For the formation energy, the calculation gives -23.41 eV/f.u.

Structure (extended XYZ):
```
24
Lattice="7.5620 0.0000 0.0000 1.2478 7.5403 0.0000 0.0676 -0.0024 8.0354" Properties=species:S:1:pos:R:3 pbc="T T T"
Rb 1.1053 2.0091 2.5421
Rb 3.3664 1.7694 6.5787
Rb 5.5110 5.7686 1.4567
Rb 7.7721 5.5289 5.4933
P 3.9845 5.6755 5.5186
P 4.8930 1.8625 2.5168
S 1.7333 5.6105 1.4824
S 7.1441 1.9274 6.5530
O 0.4714 2.4736 5.4996
O 0.4165 1.3075 7.6310
O 2.6116 6.6774 2.0239
O 2.5469 4.4989 0.9151
O 3.1398 6.8011 4.8648
O 3.0438 4.6300 6.1314
O 4.0419 2.4521 3.6678
O 3.9588 1.2905 1.4403
O 4.9186 6.2474 6.5951
O 4.8355 5.0858 4.3676
O 5.8336 2.9080 1.9039
O 5.7376 0.7368 3.1705
O 6.3305 3.0391 7.1203
O 6.2658 0.8606 6.0114
O 8.4609 6.2304 0.4044
O 8.4060 5.0644 2.5358
```


# 3
CeMg6Al after structural relaxation, computed with PBE.

The calculation puts the calculated volume at 23.82 Å³/atom. As for the relative energy among the computed polymorphs: 39 meV/atom. For the formation energy, the calculation gives 0.39 eV/f.u.

Structure (extended XYZ):
```
16
Lattice="5.0313 0.0000 0.0000 0.0000 6.6141 0.0000 0.0000 0.0000 11.4527" Properties=species:S:1:pos:R:3 pbc="T T T"
Mg 2.5157 4.9064 4.8036
Mg 2.5157 0.0000 1.8731
Mg 2.5157 1.7076 4.8036
Mg 2.5157 5.0147 10.5300
Mg 2.5157 3.3070 7.5995
Mg 0.0000 1.6011 0.9165
Mg 0.0000 0.0000 3.8081
Mg 0.0000 3.3070 9.5345
Mg 0.0000 4.9082 6.6428
Mg 0.0000 5.0129 0.9165
Mg 2.5157 1.5994 10.5300
Mg 0.0000 1.7059 6.6428
Al 0.0000 3.3070 3.7868
Al 0.0000 0.0000 9.5132
Ce 2.5157 3.3070 1.9973
Ce 2.5157 0.0000 7.7236
```


# 4
Li4Ti11O24 after structural relaxation, computed with PBE.

The calculation puts the calculated volume at 11.59 Å³/atom. As for the relative energy among the computed polymorphs: 20 meV/atom. As for the space group: C2/m. For the formation energy, the calculation gives -127.99 eV/f.u.

Structure (extended XYZ):
```
39
Lattice="9.8172 -2.9947 0.0000 9.8172 2.9947 0.0000 -3.6246 0.0000 7.6887" Properties=species:S:1:pos:R:3 pbc="T T T"
Li -0.0464 0.0000 3.5984
Li 5.2085 0.0000 6.0670
Li 10.8012 0.0000 1.6217
Li 16.0562 0.0000 4.0903
Ti 3.0963 1.4974 3.8444
Ti 2.5426 0.0000 1.2093
Ti 7.7053 1.5296 1.2387
Ti 8.3045 1.5296 6.4500
Ti 5.3291 0.0000 2.4162
Ti 3.0963 -1.4974 3.8444
Ti 8.0049 0.0000 3.8444
Ti 10.6807 0.0000 5.2725
Ti 7.7053 -1.5296 1.2387
Ti 8.3045 -1.5296 6.4500
Ti 13.4671 0.0000 6.4794
O -2.5037 0.0000 5.7540
O 3.9308 1.2922 2.0836
O 4.6682 1.5317 7.1371
O -0.3265 0.0000 7.0993
O 1.8963 0.0000 3.1741
O 6.7062 1.3048 3.1115
O 4.2779 0.0000 4.3379
O 11.3416 1.5317 0.5516
O 6.3465 0.0000 0.8735
O 9.3035 1.3048 4.5772
O 3.9308 -1.2922 2.0836
O 8.7508 0.0000 1.9673
O 7.2590 0.0000 5.7214
O 12.0789 1.2922 5.6051
O 6.7062 -1.3048 3.1115
O 9.6633 0.0000 6.8152
O 4.6682 -1.5317 7.1371
O 11.7319 0.0000 3.3509
O 9.3035 -1.3048 4.5772
O 14.1135 0.0000 4.5146
O 16.3363 0.0000 0.5894
O 11.3416 -1.5317 0.5516
O 12.0789 -1.2922 5.6051
O 18.5134 0.0000 1.9347
```


Q: Among the records above, which one has the highest calculated volume?
A: KLiMg6


Q: What is the calculated volume in the second record?
A: 19.09 Å³/atom